First-principles (GGA+U) data for crystalline LaWO2 at its relaxed geometry, as listed in Materials Project.

Output
For the formation enthalpy at 0 K, the calculation gives -1.730 eV/atom. The calculation puts the total energy at -115.6 eV/cell.

abc: 7.758 7.758 7.758
angles: 130.92 130.92 71.95
Atoms (fractional coordinates):
La1 0.000 0.000 0.000
La2 0.000 0.000 0.500
La3 0.000 0.500 0.000
La4 0.500 0.000 0.500
W1 0.000 0.500 0.500
W2 0.500 0.000 0.000
W3 0.500 0.500 0.000
W4 0.500 0.500 0.500
O1 0.196 0.233 0.536
O2 0.196 0.660 0.964
O3 0.233 0.196 0.036
O4 0.340 0.804 0.536
O5 0.660 0.196 0.464
O6 0.767 0.804 0.964
O7 0.804 0.340 0.036
O8 0.804 0.767 0.464

First-principles (GGA+U) data for crystalline MnH2SeO5 at its relaxed geometry, as listed in Materials Project.

Output
For the formation enthalpy at 0 K, the calculation gives -1.458 eV/atom. The calculation puts the total energy at -208.8 eV/cell.

abc: 5.529 11.059 8.047
angles: 106.14 73.90 80.37
Atoms (fractional coordinates):
H1 0.370 0.021 0.210
H2 0.542 0.435 0.291
H3 0.458 0.065 0.710
H4 0.458 0.565 0.710
H5 0.370 0.521 0.210
H6 0.630 0.479 0.791
H7 0.542 0.935 0.291
H8 0.630 0.979 0.790
O1 0.210 0.341 0.914
O2 0.754 0.340 0.840
O3 0.819 0.145 0.414
O4 0.386 0.943 0.250
O5 0.790 0.159 0.086
O6 0.180 0.127 0.660
O7 0.181 0.855 0.586
O8 0.820 0.373 0.340
O9 0.613 0.557 0.750
O10 0.754 0.840 0.840
O11 0.180 0.627 0.660
O12 0.790 0.659 0.086
O13 0.386 0.443 0.250
O14 0.820 0.873 0.340
O15 0.210 0.841 0.914
O16 0.246 0.160 0.160
O17 0.819 0.645 0.414
O18 0.613 0.057 0.750
O19 0.246 0.660 0.160
O20 0.181 0.355 0.586
Mn1 0.500 0.750 0.000
Mn2 0.999 0.000 0.500
Mn3 0.000 0.500 0.500
Mn4 0.500 0.250 0.000
Se1 0.083 0.292 0.750
Se2 0.083 0.792 0.750
Se3 0.917 0.708 0.250
Se4 0.917 0.208 0.250

First-principles (GGA+U) data for crystalline SrCa7Ti3Mn5O20 at its relaxed geometry, as listed in Materials Project.

Output
For the formation enthalpy at 0 K, the calculation gives -2.928 eV/atom. The excess energy over the best structure of this formula in the dataset comes out at 0.0 kJ/mol of atoms. The calculation puts the total energy at -1070.1 eV/cell.

abc: 11.267 11.388 15.516
angles: 90.09 90.56 91.34
Atoms (fractional coordinates):
Sr1 0.000 0.000 0.000
Sr2 0.018 0.037 0.265
Sr3 0.263 0.731 0.261
Sr4 0.728 0.270 0.006
Ca1 0.002 0.988 0.499
Ca2 0.003 0.548 0.990
Ca3 0.004 0.507 0.496
Ca4 0.015 0.518 0.269
Ca5 0.017 0.042 0.764
Ca6 0.032 0.529 0.770
Ca7 0.268 0.245 0.763
Ca8 0.268 0.727 0.764
Ca9 0.273 0.234 0.263
Ca10 0.294 0.248 0.001
Ca11 0.295 0.253 0.506
Ca12 0.296 0.752 0.506
Ca13 0.297 0.746 0.997
Ca14 0.474 0.011 0.767
Ca15 0.479 0.510 0.769
Ca16 0.493 0.013 0.260
Ca17 0.493 0.511 0.259
Ca18 0.506 0.494 0.004
Ca19 0.512 0.014 0.526
Ca20 0.512 0.999 0.002
Ca21 0.516 0.513 0.524
Ca22 0.692 0.284 0.761
Ca23 0.700 0.784 0.260
Ca24 0.701 0.283 0.261
Ca25 0.701 0.783 0.758
Ca26 0.720 0.279 0.517
Ca27 0.729 0.784 0.513
Ca28 0.735 0.771 0.012
Ti1 0.006 0.239 0.419
Ti2 0.006 0.249 0.911
Ti3 0.011 0.741 0.406
Ti4 0.243 0.984 0.633
Ti5 0.248 0.992 0.884
Ti6 0.251 0.479 0.128
Ti7 0.260 0.982 0.129
Ti8 0.267 0.494 0.390
Ti9 0.267 0.996 0.391
Ti10 0.980 0.805 0.151
Ti11 0.983 0.318 0.647
Ti12 0.987 0.322 0.137
Mn1 0.021 0.757 0.860
Mn2 0.256 0.492 0.630
Mn3 0.257 0.503 0.890
Mn4 0.493 0.264 0.636
Mn5 0.494 0.258 0.882
Mn6 0.496 0.761 0.635
Mn7 0.501 0.254 0.135
Mn8 0.505 0.269 0.385
Mn9 0.505 0.756 0.134
Mn10 0.508 0.758 0.882
Mn11 0.508 0.768 0.385
Mn12 0.739 0.015 0.644
Mn13 0.742 0.008 0.132
Mn14 0.745 0.024 0.878
Mn15 0.745 0.037 0.396
Mn16 0.747 0.510 0.130
Mn17 0.748 0.534 0.394
Mn18 0.752 0.513 0.639
Mn19 0.757 0.536 0.890
Mn20 0.972 0.817 0.652
O1 0.023 0.386 0.379
O2 0.033 0.398 0.883
O3 0.047 0.704 0.224
O4 0.048 0.889 0.371
O5 0.065 0.455 0.633
O6 0.065 0.718 0.732
O7 0.066 0.231 0.720
O8 0.072 0.461 0.127
O9 0.073 0.231 0.204
O10 0.073 0.975 0.633
O11 0.081 0.923 0.872
O12 0.087 0.932 0.139
O13 0.140 0.150 0.409
O14 0.140 0.164 0.909
O15 0.144 0.650 0.415
O16 0.155 0.643 0.908
O17 0.214 0.448 0.498
O18 0.218 0.950 0.502
O19 0.227 0.511 0.266
O20 0.229 0.967 0.009
O21 0.236 0.454 0.010
O22 0.244 0.034 0.758
O23 0.246 0.026 0.262
O24 0.251 0.523 0.764
O25 0.314 0.846 0.647
O26 0.329 0.346 0.147
O27 0.335 0.861 0.869
O28 0.338 0.336 0.641
O29 0.338 0.850 0.141
O30 0.348 0.353 0.372
O31 0.351 0.859 0.373
O32 0.352 0.360 0.873
O33 0.358 0.604 0.120
O34 0.359 0.095 0.605
O35 0.373 0.102 0.114
O36 0.378 0.098 0.905
O37 0.387 0.097 0.413
O38 0.389 0.595 0.408
O39 0.390 0.619 0.606
O40 0.409 0.614 0.908
O41 0.482 0.220 0.758
O42 0.489 0.220 0.264
O43 0.490 0.718 0.757
O44 0.495 0.718 0.263
O45 0.500 0.287 0.006
O46 0.504 0.305 0.511
O47 0.504 0.806 0.511
O48 0.506 0.794 0.006
O49 0.583 0.914 0.658
O50 0.592 0.417 0.148
O51 0.592 0.915 0.155
O52 0.595 0.423 0.662
O53 0.600 0.910 0.860
O54 0.619 0.423 0.352
O55 0.622 0.922 0.353
O56 0.626 0.422 0.869
O57 0.636 0.162 0.885
O58 0.647 0.168 0.629
O59 0.650 0.184 0.398
O60 0.653 0.681 0.399
O61 0.669 0.675 0.887
O62 0.677 0.168 0.139
O63 0.677 0.670 0.133
O64 0.694 0.678 0.631
O65 0.780 0.971 0.003
O66 0.791 0.980 0.518
O67 0.799 0.468 0.513
O68 0.807 0.476 0.008
O69 0.848 0.923 0.725
O70 0.854 0.378 0.701
O71 0.858 0.893 0.198
O72 0.862 0.386 0.196
O73 0.890 0.150 0.864
O74 0.894 0.142 0.369
O75 0.901 0.620 0.865
O76 0.901 0.629 0.366
O77 0.947 0.747 0.044
O78 0.959 0.248 0.535
O79 0.959 0.768 0.518
O80 0.961 0.241 0.031

First-principles (GGA+U) data for crystalline Ba2Sr6Co3Cu5O24 at its relaxed geometry, as listed in Materials Project.

Output
For the formation enthalpy at 0 K, the calculation gives -1.798 eV/atom. The calculation puts the total energy at -225.1 eV/cell.

abc: 7.814 7.866 7.888
angles: 90.00 90.07 90.00
Atoms (fractional coordinates):
Ba1 0.249 0.000 0.251
Ba2 0.751 0.000 0.749
Sr1 0.247 0.502 0.252
Sr2 0.248 0.000 0.749
Sr3 0.248 0.502 0.748
Sr4 0.752 0.000 0.251
Sr5 0.752 0.502 0.252
Sr6 0.753 0.502 0.748
Co1 0.500 0.254 0.000
Co2 0.500 0.254 0.500
Co3 0.500 0.748 0.000
Cu1 0.000 0.252 0.000
Cu2 0.000 0.252 0.500
Cu3 0.000 0.750 0.000
Cu4 0.000 0.751 0.500
Cu5 0.500 0.751 0.500
O1 0.000 0.002 0.000
O2 0.000 0.003 0.500
O3 0.000 0.500 0.000
O4 0.000 0.500 0.500
O5 0.005 0.260 0.751
O6 0.005 0.743 0.751
O7 0.250 0.744 0.505
O8 0.253 0.746 0.997
O9 0.261 0.257 0.504
O10 0.263 0.256 0.996
O11 0.497 0.746 0.753
O12 0.498 0.257 0.752
O13 0.500 0.000 0.500
O14 0.500 0.504 0.500
O15 0.500 0.509 0.000
O16 0.500 0.992 0.000
O17 0.502 0.257 0.248
O18 0.503 0.746 0.247
O19 0.737 0.256 0.004
O20 0.739 0.257 0.496
O21 0.747 0.746 0.003
O22 0.750 0.744 0.495
O23 0.995 0.260 0.249
O24 0.995 0.743 0.249

First-principles (GGA+U) data for crystalline RbCoCl3O2 at its relaxed geometry, as listed in Materials Project.

Output
For the formation enthalpy at 0 K, the calculation gives -0.626 eV/atom. The calculation puts the total energy at -49.8 eV/cell.

abc: 8.198 8.198 8.533
angles: 117.03 117.03 42.58
Atoms (fractional coordinates):
Rb1 0.000 0.500 0.000
Rb2 0.500 0.000 0.500
Co1 0.000 0.000 0.000
Co2 0.000 0.000 0.500
Cl1 0.088 0.643 0.454
Cl2 0.196 0.804 0.250
Cl3 0.357 0.912 0.046
Cl4 0.643 0.088 0.954
Cl5 0.804 0.196 0.750
Cl6 0.912 0.357 0.546
O1 0.123 0.716 0.880
O2 0.284 0.877 0.620
O3 0.716 0.123 0.380
O4 0.877 0.284 0.120

First-principles (GGA+U) data for crystalline V2CdO10 at its relaxed geometry, as listed in Materials Project.

Output
For the formation enthalpy at 0 K, the calculation gives -1.257 eV/atom. The excess energy over the best structure of this formula in the dataset comes out at 0.3 kJ/mol of atoms. The calculation puts the total energy at -159.8 eV/cell.

abc: 8.510 8.510 7.087
angles: 107.31 107.31 72.64
Atoms (fractional coordinates):
V1 0.030 0.970 0.500
V2 0.174 0.234 0.884
V3 0.234 0.174 0.384
V4 0.970 0.030 0.000
Cd1 0.098 0.601 0.689
Cd2 0.601 0.098 0.189
O1 0.008 0.081 0.771
O2 0.075 0.434 0.867
O3 0.081 0.008 0.271
O4 0.123 0.196 0.113
O5 0.128 0.770 0.518
O6 0.196 0.123 0.613
O7 0.228 0.381 0.497
O8 0.364 0.669 0.037
O9 0.381 0.228 0.997
O10 0.381 0.652 0.209
O11 0.434 0.075 0.367
O12 0.636 0.755 0.967
O13 0.643 0.729 0.553
O14 0.652 0.381 0.709
O15 0.669 0.364 0.537
O16 0.729 0.643 0.053
O17 0.755 0.636 0.467
O18 0.770 0.128 0.018
O19 0.823 0.975 0.387
O20 0.975 0.823 0.887